# 1
Below is a geometry-optimized U2B6Os structure, with properties calculated at the GGA-PBE level.

Calculated values
Total DFT energy (no corrections), eV per atom: -8.731
M_tot, μB/f.u.: 1.24

```
U2B6Os
1.0
3.592 0.000 0.000
0.000 9.316 0.000
0.000 0.000 11.396
U B Os
8 24 4
Cartesian
0.000 3.143 4.639 U
0.000 6.173 6.758 U
0.000 7.801 1.060 U
0.000 1.515 10.337 U
0.000 8.915 4.508 U
0.000 0.401 6.888 U
0.000 4.257 1.190 U
0.000 5.059 10.206 U
1.796 5.117 4.941 B
1.796 4.199 6.455 B
1.796 0.459 0.757 B
1.796 8.857 10.639 B
1.796 6.915 4.830 B
1.796 2.401 6.567 B
1.796 2.257 0.869 B
1.796 7.059 10.528 B
1.796 7.501 3.109 B
1.796 1.815 8.288 B
1.796 2.843 2.589 B
1.796 6.473 8.807 B
1.796 6.015 2.151 B
1.796 3.301 9.246 B
1.796 1.357 3.547 B
1.796 7.959 7.849 B
1.796 9.176 2.495 B
1.796 0.140 8.901 B
1.796 4.518 3.203 B
1.796 4.798 8.193 B
1.796 6.005 0.458 B
1.796 3.311 10.938 B
1.796 1.347 5.240 B
1.796 7.969 6.156 B
0.000 6.005 3.642 Os
0.000 3.312 7.754 Os
0.000 1.347 2.056 Os
0.000 7.970 9.341 Os
```

# 2
Below is a geometry-optimized UB4Os4 structure, with properties calculated at the GGA-PBE level.

Calculated values
Total DFT energy (no corrections), eV per atom: -9.483
M_tot, μB/f.u.: 0.00

```
UB4Os4
1.0
0.467 -7.115 5.900
1.280 3.180 8.597
-6.159 2.201 -6.548
U B Os
4 16 16
Cartesian
0.437 -0.984 3.624 U
1.310 -2.952 10.873 U
-2.846 -2.457 -0.324 U
-2.440 2.691 1.024 U
-4.722 3.442 2.803 B
-0.624 -2.083 8.698 B
-1.592 2.986 6.246 B
-0.602 -3.702 4.312 B
-2.566 -1.501 2.546 B
-0.505 1.822 3.199 B
0.462 -3.247 5.651 B
-1.807 0.261 -1.011 B
-3.500 -0.300 1.640 B
0.598 -5.824 7.535 B
-4.396 3.287 -1.222 B
-2.126 -0.221 5.440 B
-3.789 2.241 3.709 B
-1.261 -1.552 10.263 B
-2.893 -1.346 6.571 B
-5.163 2.161 -0.091 B
-1.109 -3.063 2.261 Os
-1.806 3.302 4.073 Os
-4.016 0.224 -0.440 Os
0.266 -5.503 5.377 Os
-1.300 -0.378 1.039 Os
0.676 -3.562 7.824 Os
-3.273 1.717 5.789 Os
-2.208 -5.053 3.823 Os
-2.418 0.603 3.414 Os
-3.928 -3.327 2.529 Os
-4.897 4.260 0.762 Os
-0.615 -1.467 6.579 Os
-4.871 1.337 1.934 Os
-2.894 -1.848 8.720 Os
-2.392 -2.320 4.587 Os
-0.515 1.206 5.318 Os
```

# 3
Below is a geometry-optimized B4OsW structure, with properties calculated at the GGA-PBE level.

Calculated values
Total DFT energy (no corrections), eV per atom: -8.773

```
B4OsW
1.0
1.465 -2.537 0.000
1.465 2.537 0.000
0.000 0.000 7.561
B Os W
4 1 1
Cartesian
1.465 0.846 5.350 B
0.000 0.000 6.038 B
0.000 0.000 1.522 B
1.465 0.846 2.211 B
1.465 0.846 0.000 Os
0.000 0.000 3.780 W
```

# 4
Below is a geometry-optimized YB2Os structure, with properties calculated at the GGA-PBE level.

Calculated values
Total DFT energy (no corrections), eV per atom: -8.327
M_tot, μB/f.u.: 0.01

```
YB2Os
1.0
5.915 0.000 0.000
0.000 5.333 0.000
0.000 0.000 6.391
Y B Os
4 8 4
Cartesian
0.064 1.333 2.144 Y
3.021 1.333 1.052 Y
5.851 4.000 4.247 Y
2.893 4.000 5.340 Y
2.152 0.438 3.450 B
5.109 2.229 6.136 B
3.763 3.104 2.941 B
0.805 4.895 0.255 B
3.763 4.895 2.941 B
0.805 3.104 0.255 B
2.152 2.229 3.450 B
5.109 0.438 6.136 B
1.040 1.333 5.229 Os
3.997 1.333 4.358 Os
4.875 4.000 1.162 Os
1.917 4.000 2.034 Os
```

# 5
Below is a geometry-optimized Y2B6Os structure, with properties calculated at the GGA-PBE level.

Calculated values
Total DFT energy (no corrections), eV per atom: -7.780

```
Y2B6Os
1.0
3.665 0.000 0.000
0.000 9.174 0.000
0.000 0.000 11.557
Y B Os
8 24 4
Cartesian
0.000 2.956 4.779 Y
0.000 6.218 6.778 Y
0.000 7.543 1.000 Y
0.000 1.631 10.558 Y
0.000 8.668 4.318 Y
0.000 0.506 7.239 Y
0.000 4.081 1.461 Y
0.000 5.093 10.097 Y
1.832 5.083 5.002 B
1.832 4.091 6.556 B
1.832 0.496 0.777 B
1.832 8.678 10.780 B
1.832 6.860 4.859 B
1.832 2.313 6.698 B
1.832 2.274 0.920 B
1.832 6.900 10.638 B
1.832 7.259 3.093 B
1.832 1.915 8.465 B
1.832 2.672 2.686 B
1.832 6.502 8.871 B
1.832 5.804 2.147 B
1.832 3.370 9.410 B
1.832 1.217 3.632 B
1.832 7.956 7.926 B
1.832 9.028 2.464 B
1.832 0.145 9.093 B
1.832 4.442 3.314 B
1.832 4.732 8.243 B
1.832 5.612 0.357 B
1.832 3.562 11.201 B
1.832 1.025 5.422 B
1.832 8.149 6.136 B
0.000 5.854 3.715 Os
0.000 3.320 7.842 Os
0.000 1.267 2.064 Os
0.000 7.907 9.494 Os
```

# 6
Below is a geometry-optimized YB4Os structure, with properties calculated at the GGA-PBE level.

Calculated values
Total DFT energy (no corrections), eV per atom: -7.971

```
YB4Os
1.0
-3.050 -1.435 1.180
-0.761 -2.719 -5.270
5.835 -9.195 3.901
Y B Os
4 16 4
Cartesian
3.314 -7.683 -0.775 Y
1.760 -4.231 -0.594 Y
4.863 -8.165 2.641 Y
0.211 -3.748 -4.010 Y
1.768 -9.725 -1.849 B
0.257 -3.623 1.661 B
2.832 -9.442 1.243 B
-0.807 -3.905 -1.431 B
2.627 -10.349 -0.389 B
-0.602 -2.999 0.201 B
2.257 -7.807 1.744 B
-0.232 -5.541 -1.932 B
3.477 -11.982 -0.177 B
-1.452 -1.366 -0.011 B
1.293 -6.581 0.743 B
0.732 -6.767 -0.931 B
0.990 -8.156 -1.954 B
1.035 -5.192 1.766 B
3.744 -10.537 2.268 B
-1.719 -2.811 -2.456 B
4.803 -10.077 0.162 Os
0.271 -1.836 -1.530 Os
3.356 -5.838 1.575 Os
1.719 -6.075 -2.943 Os
```

# 7
Below is a geometry-optimized B13P2 structure, with properties calculated at the GGA-PBE level.

Calculated values
Total DFT energy (no corrections), eV per atom: -5.823
M_tot, μB/f.u.: 0.00

```
B13P2
1.0
8.053 -2.423 0.000
8.053 2.423 0.000
7.324 0.000 4.133
B P
13 2
Cartesian
11.715 0.000 2.066 B
13.258 -0.937 1.789 B
12.976 0.000 3.387 B
13.258 0.937 1.789 B
10.172 -0.937 2.343 B
10.172 0.937 2.343 B
10.454 0.000 0.746 B
11.563 -1.503 1.158 B
11.111 0.000 3.722 B
11.563 1.503 1.158 B
11.867 -1.503 2.974 B
11.867 1.503 2.974 B
12.319 0.000 0.411 B
6.418 0.000 1.132 P
17.012 0.000 3.001 P
```

# 8
Below is a geometry-optimized B8P structure, with properties calculated at the GGA-PBE level.

Calculated values
Total DFT energy (no corrections), eV per atom: -6.614
M_tot, μB/f.u.: 0.33

```
B8P
1.0
2.960 4.339 0.000
-2.960 4.339 0.000
0.000 3.991 9.392
B P
24 3
Cartesian
1.567 8.304 8.489 B
-1.395 6.347 3.859 B
0.000 7.299 6.073 B
0.000 0.908 1.317 B
-1.567 8.304 8.489 B
1.395 6.347 3.859 B
1.392 6.393 5.592 B
-1.573 4.309 0.840 B
0.000 11.746 7.990 B
0.000 5.395 3.394 B
-1.392 6.393 5.592 B
1.573 4.309 0.840 B
0.932 5.462 9.320 B
0.935 7.848 4.668 B
0.000 4.847 7.857 B
0.000 7.197 3.159 B
-0.932 5.462 9.320 B
-0.935 7.848 4.668 B
-0.957 4.873 4.809 B
-0.929 11.135 9.380 B
0.000 5.502 6.274 B
0.000 7.782 1.507 B
0.957 4.873 4.809 B
0.929 11.135 9.380 B
0.000 4.188 1.907 P
0.000 8.496 7.490 P
0.000 2.117 2.786 P
```

# 9
Below is a geometry-optimized BP structure, with properties calculated at the GGA-PBE level.

Calculated values
Total DFT energy (no corrections), eV per atom: -6.454
Maximum piezoelectric response, C/m2: 0.02

```
BP
1.0
-0.062 -0.149 -3.211
-2.164 -1.860 -1.481
-2.429 1.341 -1.625
B P
1 1
Cartesian
0.000 0.000 0.000 B
-3.491 -0.501 -4.738 P
```

# 10
Below is a geometry-optimized BP structure, with properties calculated at the GGA-PBE level.

Calculated values
Total DFT energy (no corrections), eV per atom: -6.443
Maximum piezoelectric response, C/m2: 0.24

```
BP
1.0
-0.270 3.134 -0.588
-2.367 -1.992 -0.819
-2.233 0.700 4.753
B P
2 2
Cartesian
-2.086 1.776 1.713 B
-1.669 -0.283 -0.741 B
-2.923 2.038 3.493 P
-2.505 -0.021 1.039 P
```

# 11
Below is a geometry-optimized B13P structure, with properties calculated at the GGA-PBE level.

Calculated values
Total DFT energy (no corrections), eV per atom: -6.615
M_tot, μB/f.u.: 0.00

```
B13P
1.0
0.046 0.035 5.184
4.840 0.035 1.858
1.289 4.665 1.858
B P
13 1
Cartesian
3.622 0.943 2.666 B
1.850 3.253 2.666 B
1.229 0.943 4.326 B
2.490 3.834 6.269 B
4.349 1.410 6.269 B
5.000 3.834 4.528 B
1.601 0.062 0.685 B
0.475 1.530 0.685 B
0.081 0.062 1.739 B
4.595 4.671 8.220 B
5.702 3.226 8.220 B
6.090 4.671 7.183 B
2.552 1.957 3.678 B
3.588 2.752 5.172 P
```

# 12
Below is a geometry-optimized BPb3 structure, with properties calculated at the GGA-PBE level.

Calculated values
Total DFT energy (no corrections), eV per atom: -3.469
M_tot, μB/f.u.: 0.01

```
BPb3
1.0
-0.179 -5.267 -3.800
4.491 4.587 -0.987
3.660 -2.789 3.693
B Pb
2 6
Cartesian
5.680 -0.789 0.845 B
2.292 -2.680 -1.940 B
2.409 -0.034 -0.057 Pb
4.526 -0.367 -2.406 Pb
4.613 2.216 -0.541 Pb
5.563 -3.435 -1.038 Pb
3.446 -3.101 1.312 Pb
3.359 -5.685 -0.553 Pb
```

# 13
Below is a geometry-optimized BSbPbS4 structure, with properties calculated at the GGA-PBE level.

Calculated values
Total DFT energy (no corrections), eV per atom: -4.851
M_tot, μB/f.u.: 0.00

```
BSbPbS4
1.0
-0.554 -0.172 -6.152
4.364 -4.489 -0.268
-6.217 -6.265 3.704
B Sb Pb S
2 2 2 8
Cartesian
-0.239 -2.397 -0.372 B
-2.168 -8.528 -2.343 B
-4.479 -6.469 -1.222 Sb
2.072 -4.457 -1.494 Sb
-1.812 -4.224 -2.944 Pb
-0.145 -7.165 0.201 Pb
-2.800 -4.827 -0.393 S
0.334 -6.038 -2.319 S
0.809 -3.571 0.531 S
-1.082 -9.550 -3.377 S
-3.198 -7.331 -3.244 S
-1.350 -1.393 0.659 S
-0.128 -2.166 -2.158 S
-2.296 -8.742 -0.556 S
```

# 14
Below is a geometry-optimized Sc3BPb structure, with properties calculated at the GGA-PBE level.

Calculated values
Total DFT energy (no corrections), eV per atom: -6.398

```
Sc3BPb
1.0
4.689 0.000 0.000
0.000 4.689 0.000
0.000 0.000 4.689
Sc B Pb
3 1 1
Cartesian
2.345 0.000 2.345 Sc
0.000 2.345 2.345 Sc
2.345 2.345 0.000 Sc
2.345 2.345 2.345 B
0.000 0.000 0.000 Pb
```

# 15
Below is a geometry-optimized SiBPb structure, with properties calculated at the GGA-PBE level.

Calculated values
Total DFT energy (no corrections), eV per atom: -3.860
M_tot, μB/f.u.: 0.01

```
SiBPb
1.0
0.000 3.159 3.159
3.159 0.000 3.159
3.159 3.159 0.000
Si B Pb
1 1 1
Cartesian
4.739 4.739 4.739 Si
0.000 0.000 0.000 B
3.159 3.159 3.159 Pb
```

# 16
Below is a geometry-optimized BPd2 structure, with properties calculated at the GGA-PBE level.

Calculated values
Total DFT energy (no corrections), eV per atom: -5.946

```
BPd2
1.0
3.160 0.000 0.000
0.000 4.772 0.000
0.000 0.000 5.172
B Pd
2 4
Cartesian
1.580 2.386 2.586 B
0.000 0.000 0.000 B
1.580 3.598 0.806 Pd
1.580 1.174 4.366 Pd
0.000 3.560 3.392 Pd
0.000 1.212 1.780 Pd
```

# 17
Below is a geometry-optimized BPd6 structure, with properties calculated at the GGA-PBE level.

Calculated values
Total DFT energy (no corrections), eV per atom: -5.593
ΔE to the lowest computed polymorph, meV per atom: 0

```
BPd6
1.0
4.319 2.496 0.000
-4.319 2.496 0.000
0.000 1.655 9.418
B Pd
2 12
Cartesian
3.600 3.737 7.063 B
-3.600 2.909 2.354 B
-0.745 4.561 1.156 Pd
0.745 2.086 8.262 Pd
-0.745 1.258 3.553 Pd
0.745 5.388 5.865 Pd
-0.718 4.537 8.270 Pd
0.718 2.109 1.148 Pd
-0.718 2.937 5.857 Pd
0.718 3.709 3.561 Pd
2.133 2.889 5.857 Pd
-2.133 3.757 3.561 Pd
2.133 4.584 8.270 Pd
-2.133 2.062 1.148 Pd
```

# 18
Below is a geometry-optimized BPd4 structure, with properties calculated at the GGA-PBE level.

Calculated values
Total DFT energy (no corrections), eV per atom: -5.472
M_tot, μB/f.u.: 0.00

```
BPd4
1.0
0.005 0.000 4.365
2.892 0.000 -0.004
0.000 5.856 0.000
B Pd
1 4
Cartesian
1.447 0.801 1.089 B
1.450 0.776 3.272 Pd
0.004 3.929 3.274 Pd
0.001 2.229 1.091 Pd
1.447 4.699 1.089 Pd
```